1.
Density functional theory data (PBE) for an optimized crystal structure of K2ZnH12S2O14.

## Properties
Electronic total energy ... -4.903 eV/atom
V ... 824.3 Å³ per cell
E_form ... -1.2858 eV per atom
Relative energy among the computed polymorphs ... 345.3 meV per atom

Cell lengths 6.6691, 12.8320, 9.9081 Å; angles 90.00, 103.55, 90.00 degrees
Closest atoms and distances in Å follow each position.
Element x y z (fractional)
K1 0.1912 0.2381 0.3259  5 O 2.64-2.93
K2 0.1912 0.2619 0.8259  5 O 2.64-2.93
K3 0.8088 0.7381 0.1741  5 O 2.64-2.93
K4 0.8088 0.7619 0.6741  5 O 2.64-2.93
Zn1 0.5000 0.0000 0.5000  2 O 1.92
Zn2 0.5000 0.5000 0.0000  2 O 1.92
H1 0.0731 0.5084 0.7769  1 O 0.98
H2 0.0731 0.9916 0.2769  1 O 0.98
H3 0.1133 0.5375 0.1683  1 O 1.00
H4 0.1133 0.9625 0.6683  1 O 1.00
H5 0.3318 0.6642 0.9955  1 O 0.97
H6 0.3318 0.8358 0.4955  1 O 0.97
H7 0.4811 0.2429 0.1023  1 O 1.00
H8 0.4811 0.2571 0.6023  1 O 1.00
H9 0.4897 0.6309 0.3181  1 O 0.98
H10 0.4897 0.8691 0.8181  1 O 0.98
H11 0.4980 0.1148 0.7283  1 O 0.99
H12 0.4980 0.3852 0.2283  1 O 0.99
H13 0.5020 0.6148 0.7717  1 O 0.99
H14 0.5020 0.8852 0.2717  1 O 0.99
H15 0.5103 0.1309 0.1819  1 O 0.98
H16 0.5103 0.3691 0.6819  1 O 0.98
H17 0.5189 0.7429 0.3977  1 O 1.00
H18 0.5189 0.7571 0.8977  1 O 1.00
H19 0.6682 0.1642 0.5045  1 O 0.97
H20 0.6682 0.3358 0.0045  1 O 0.97
H21 0.8867 0.0375 0.3317  1 O 1.00
H22 0.8867 0.4625 0.8317  1 O 1.00
H23 0.9269 0.0084 0.7231  1 O 0.98
H24 0.9269 0.4916 0.2231  1 O 0.98
S1 0.1568 0.6047 0.5192  2 O 1.47-1.48
S2 0.1568 0.8953 0.0192  2 O 1.47-1.48
S3 0.8432 0.1047 0.9808  2 O 1.47-1.48
S4 0.8432 0.3953 0.4808  2 O 1.47-1.48
O1 0.0340 0.0496 0.3298  2 H 0.98-1.00
O2 0.0340 0.4504 0.8298  2 H 0.98-1.00
O3 0.0811 0.7028 0.4491  1 S 1.47
O4 0.0811 0.7972 0.9491  1 S 1.47
O5 0.1731 0.6077 0.6704  1 S 1.48
O6 0.1731 0.8923 0.1704  1 S 1.48
O7 0.3789 0.0808 0.7530  1 H 0.99
O8 0.3789 0.4192 0.2530  1 H 0.99
O9 0.3785 0.5182 0.1824  1 O 1.45
O10 0.3785 0.9818 0.6824  1 O 1.45
O11 0.4086 0.1813 0.1314  2 H 0.98-1.00
O12 0.4086 0.3187 0.6314  2 H 0.98-1.00
O13 0.4622 0.6471 0.9725  1 H 0.97
O14 0.4622 0.8529 0.4725  1 H 0.97
O15 0.5379 0.1471 0.5275  1 H 0.97
O16 0.5379 0.3529 0.0275  1 H 0.97
O17 0.5914 0.6813 0.3686  2 H 0.98-1.00
O18 0.5914 0.8187 0.8686  2 H 0.98-1.00
O19 0.6215 0.0182 0.3176  1 O 1.45
O20 0.6215 0.4818 0.8176  1 O 1.45
O21 0.6211 0.5808 0.7470  1 H 0.99
O22 0.6211 0.9192 0.2470  1 H 0.99
O23 0.8269 0.1077 0.8296  1 S 1.48
O24 0.8269 0.3923 0.3296  1 S 1.48
O25 0.9189 0.2028 0.0509  1 S 1.47
O26 0.9189 0.2972 0.5509  1 S 1.47
O27 0.9660 0.5496 0.1702  2 H 0.98-1.00
O28 0.9660 0.9504 0.6702  2 H 0.98-1.00

***

2.
Density functional theory data (PBE) for an optimized crystal structure of SrTiSi2O7.

## Properties
Electronic total energy ... -7.965 eV/atom
V ... 284.2 Å³ per cell
E_form ... -3.3960 eV per atom

Cell lengths 7.8283, 7.8283, 7.1484 Å; angles 90.00, 90.00, 139.56 degrees
Closest atoms and distances in Å follow each position.
Element x y z (fractional)
Sr1 0.1988 0.8012 0.7500  11 O 2.69-2.89
Sr2 0.8012 0.1988 0.2500  11 O 2.69-2.89
Ti1 0.1090 0.8910 0.2500  1 O 1.68
Ti2 0.8910 0.1090 0.7500  1 O 1.68
Si1 0.3916 0.6084 0.0250  4 O 1.60-1.67
Si2 0.3916 0.6084 0.4750  4 O 1.60-1.67
Si3 0.6084 0.3916 0.5250  4 O 1.60-1.67
Si4 0.6084 0.3916 0.9750  4 O 1.60-1.67
O1 0.0053 0.9947 0.7500  1 Ti 1.68
O2 0.0967 0.4038 0.5616  1 Si 1.63
O3 0.0967 0.4038 0.9384  1 Si 1.63
O4 0.3614 0.6386 0.2500  2 Si 1.67
O5 0.4038 0.0967 0.0616  1 Si 1.63
O6 0.4038 0.0967 0.4384  1 Si 1.63
O7 0.5000 0.5000 0.0000  2 Si 1.60
O8 0.5000 0.5000 0.5000  2 Si 1.60
O9 0.5962 0.9033 0.5616  1 Si 1.63
O10 0.5962 0.9033 0.9384  1 Si 1.63
O11 0.6386 0.3614 0.7500  2 Si 1.67
O12 0.9033 0.5962 0.0616  1 Si 1.63
O13 0.9033 0.5962 0.4384  1 Si 1.63
O14 0.9947 0.0053 0.2500  1 Ti 1.68

***

3.
Density functional theory data (PBE) for an optimized crystal structure of RhC3N6Cl3.

## Properties
Electronic total energy ... -6.020 eV/atom
V ... 2071.5 Å³ per cell
E_form ... 0.8086 eV per atom

Cell lengths 10.0257, 11.9821, 17.4592 Å; angles 90.00, 99.01, 90.00 degrees
Closest atoms and distances in Å follow each position.
Element x y z (fractional)
Rh1 0.2178 0.2496 0.4442  1 N 1.64
Rh2 0.2178 0.2504 0.9442  1 N 1.64
Rh3 0.7822 0.7496 0.0558  1 N 1.64
Rh4 0.7822 0.7504 0.5558  1 N 1.64
C1 0.1136 0.7294 0.3234  1 N 1.20, 1 C 1.32
C2 0.1136 0.7706 0.8234  1 N 1.20, 1 C 1.32
C3 0.1203 0.6202 0.3328  2 C 1.32
C4 0.1203 0.8798 0.8328  2 C 1.32
C5 0.1548 0.5218 0.3630  1 N 1.19, 1 C 1.32
C6 0.1548 0.9782 0.8630  1 N 1.19, 1 C 1.32
C7 0.8452 0.0218 0.1370  1 N 1.19, 1 C 1.32
C8 0.8452 0.4782 0.6370  1 N 1.19, 1 C 1.32
C9 0.8797 0.1202 0.1672  2 C 1.32
C10 0.8797 0.3798 0.6672  2 C 1.32
C11 0.8864 0.2294 0.1766  1 N 1.20, 1 C 1.32
C12 0.8864 0.2706 0.6766  1 N 1.20, 1 C 1.32
N1 0.1079 0.6715 0.8155  1 C 1.20
N2 0.1079 0.8285 0.3155  1 C 1.20
N3 0.1864 0.0668 0.8910  1 C 1.19
N4 0.1864 0.4332 0.3910  1 C 1.19
N5 0.2326 0.1335 0.4951  1 Rh 1.64
N6 0.2326 0.3665 0.9951  1 Rh 1.64
N7 0.2840 0.1570 0.1100  1 N 1.11
N8 0.2840 0.3430 0.6100  1 N 1.11
N9 0.3038 0.2161 0.1597  1 N 1.11
N10 0.3038 0.2839 0.6597  1 N 1.11
N11 0.4520 0.5840 0.8438  2 N 3.43-3.57
N12 0.4520 0.9160 0.3438  2 N 3.43-3.57
N13 0.5480 0.0840 0.6562  2 N 3.43-3.57
N14 0.5480 0.4160 0.1562  2 N 3.43-3.57
N15 0.6962 0.7161 0.3403  1 N 1.11
N16 0.6962 0.7839 0.8403  1 N 1.11
N17 0.7160 0.6570 0.3900  1 N 1.11
N18 0.7160 0.8430 0.8900  1 N 1.11
N19 0.7674 0.6335 0.0049  1 Rh 1.64
N20 0.7674 0.8665 0.5049  1 Rh 1.64
N21 0.8136 0.5668 0.6090  1 C 1.19
N22 0.8136 0.9332 0.1090  1 C 1.19
N23 0.8921 0.1715 0.6845  1 C 1.20
N24 0.8921 0.3285 0.1845  1 C 1.20
Cl1 0.9998 0.1996 0.9617  1 Rh 2.33
Cl2 0.9998 0.3004 0.4617  1 Rh 2.33
Cl3 0.0002 0.6996 0.5383  1 Rh 2.33
Cl4 0.0002 0.8004 0.0383  1 Rh 2.33
Cl5 0.1723 0.1999 0.3161  1 Rh 2.29
Cl6 0.1723 0.3001 0.8161  1 Rh 2.29
Cl7 0.4387 0.2011 0.9400  1 Rh 2.30
Cl8 0.4387 0.2989 0.4400  1 Rh 2.30
Cl9 0.5613 0.7011 0.5600  1 Rh 2.30
Cl10 0.5613 0.7989 0.0600  1 Rh 2.30
Cl11 0.8277 0.6999 0.1839  1 Rh 2.29
Cl12 0.8277 0.8001 0.6839  1 Rh 2.29

***

4.
Density functional theory data (PBE) for an optimized crystal structure of LiInSe2.

## Properties
Electronic total energy ... -3.702 eV/atom
V ... 266.1 Å³ per cell
E_form ... -1.0246 eV per atom

Cell lengths 3.9589, 3.9589, 19.6052 Å; angles 90.00, 90.00, 120.00 degrees
Closest atoms and distances in Å follow each position.
Element x y z (fractional)
Li1 0.0000 0.0000 0.0000  6 Se 2.83
Li2 0.3333 0.6667 0.6667  6 Se 2.83
Li3 0.6667 0.3333 0.3333  6 Se 2.83
In1 0.0000 0.0000 0.5000  6 Se 2.79
In2 0.3333 0.6667 0.1667  6 Se 2.79
In3 0.6667 0.3333 0.8333  6 Se 2.79
Se1 0.0000 0.0000 0.2485  3 In 2.79, 3 Li 2.83
Se2 0.0000 0.0000 0.7515  3 In 2.79, 3 Li 2.83
Se3 0.3333 0.6667 0.4182  3 In 2.79, 3 Li 2.83
Se4 0.3333 0.6667 0.9151  3 In 2.79, 3 Li 2.83
Se5 0.6667 0.3333 0.0849  3 In 2.79, 3 Li 2.83
Se6 0.6667 0.3333 0.5818  3 In 2.79, 3 Li 2.83